Record 1
Here is a relaxed CuSb2BrO3 crystal from Materials Project. Energies are from GGA-PBE.

Cell: 8.0451 8.0451 19.3469 Å, 90.00 90.00 120.17°
With the nearest neighbours (Å) after each atom.
Sites, in units of the cell vectors:
O 0.9579 0.6688 0.0239  2 Sb 1.99-2.04
Sb 0.0709 0.9291 0.4218  3 O 2.00-2.04
Sb 0.8863 0.5719 0.5811  3 O 1.96-2.04
Sb 0.0800 0.9200 0.0783  3 O 2.03-2.04
O 0.1644 0.4592 0.9790  2 Sb 2.01-2.04
O 0.2899 0.3356 0.1050  2 Sb 1.96-2.01
Cu 0.7441 0.2559 0.7151  1 O 2.10
Br 0.0836 0.4156 0.7522  3 Cu 2.44-2.48
Br 0.9115 0.0885 0.2275  3 Cu 2.44-2.49
O 0.4564 0.5436 0.4784  2 Sb 2.03
Sb 0.9274 0.6117 0.9234  3 O 1.99-2.04
Br 0.5844 0.9164 0.7522  3 Cu 2.44-2.48
Sb 0.5719 0.8863 0.0811  3 O 1.96-2.04
Cu 0.2559 0.7441 0.2151  1 O 2.10
Sb 0.5676 0.4324 0.0817  3 O 2.01-2.03
O 0.0442 0.9558 0.5236  2 Sb 2.00-2.03
Cu 0.2443 0.7557 0.7901  1 O 2.09
O 0.5408 0.8356 0.9790  2 Sb 2.01-2.04
O 0.2067 0.1628 0.8943  2 Sb 2.01-2.04, 1 Cu 2.20
O 0.8372 0.7933 0.8943  2 Sb 2.01-2.04, 1 Cu 2.20
O 0.6644 0.7101 0.1050  2 Sb 1.96-2.01
O 0.7101 0.6644 0.6050  2 Sb 1.96-2.01
Br 0.9164 0.5844 0.2522  3 Cu 2.44-2.48
O 0.3356 0.2899 0.6050  2 Sb 1.96-2.01
O 0.3312 0.0421 0.0239  2 Sb 1.99-2.04
O 0.1628 0.2067 0.3943  2 Sb 2.01-2.04, 1 Cu 2.20
Sb 0.5823 0.4177 0.4257  3 O 2.03-2.04
Br 0.5881 0.4119 0.7785  3 Cu 2.47-2.50
O 0.7054 0.2946 0.6104  2 Sb 2.04, 1 Cu 2.10
Sb 0.9200 0.0800 0.5783  3 O 2.03-2.04
Sb 0.1137 0.4281 0.0811  3 O 1.96-2.04
Cu 0.2327 0.2261 0.7829  1 O 2.20, 2 Br 2.44
Cu 0.2261 0.2327 0.2829  1 O 2.20, 2 Br 2.44
O 0.7933 0.8372 0.3943  2 Sb 2.01-2.04, 1 Cu 2.20
Sb 0.3883 0.0726 0.9234  3 O 1.99-2.04
Sb 0.4281 0.1137 0.5811  3 O 1.96-2.04
Br 0.4156 0.0836 0.2522  3 Cu 2.44-2.48
O 0.8356 0.5408 0.4790  2 Sb 2.01-2.04
Sb 0.6117 0.9274 0.4234  3 O 1.99-2.04
O 0.7963 0.2037 0.3941  2 Sb 2.04, 1 Cu 2.09
Sb 0.0726 0.3883 0.4234  3 O 1.99-2.04
Cu 0.7557 0.2443 0.2901  1 O 2.09
Sb 0.4324 0.5676 0.5817  3 O 2.01-2.03
Cu 0.7673 0.7739 0.2829  1 O 2.20, 2 Br 2.44
O 0.2037 0.7963 0.8941  2 Sb 2.04, 1 Cu 2.09
O 0.9558 0.0442 0.0236  2 Sb 2.00-2.03
Sb 0.4177 0.5823 0.9257  3 O 2.03-2.04
Sb 0.9291 0.0709 0.9218  3 O 2.00-2.04
Cu 0.7739 0.7673 0.7829  1 O 2.20, 2 Br 2.44
O 0.6688 0.9579 0.5239  2 Sb 1.99-2.04
O 0.0421 0.3312 0.5239  2 Sb 1.99-2.04
O 0.2946 0.7054 0.1104  2 Sb 2.04, 1 Cu 2.10
Br 0.0885 0.9115 0.7275  3 Cu 2.44-2.49
O 0.4592 0.1644 0.4790  2 Sb 2.01-2.04
O 0.5436 0.4564 0.9784  2 Sb 2.03
Br 0.4119 0.5881 0.2785  3 Cu 2.47-2.50

Calculated values
SG ... Cmc2_1, No. 36
Formation enthalpy at 0 K ... -1.31 eV per atom
Calculated total energy ... -0.18887 hartree per atom

=====

Record 2
Here is a relaxed PrNi3 crystal from Materials Project. Energies are from GGA-PBE.

Cell: 8.7936 8.7936 8.7936 Å, 33.41 33.41 33.41°
With the nearest neighbours (Å) after each atom.
Sites, in units of the cell vectors:
Ni 0.9174 0.4202 0.4202  7 Ni 2.47-2.58
Ni 0.4202 0.9174 0.4202  7 Ni 2.47-2.58
Ni 0.5798 0.0826 0.5798  7 Ni 2.47-2.58
Ni 0.0826 0.5798 0.5798  7 Ni 2.47-2.58
Ni 0.5000 0.5000 0.5000  6 Ni 2.58
Pr 0.8612 0.8612 0.8612  12 Ni 2.91-3.19, 3 Pr 3.23
Ni 0.6676 0.6676 0.6676  6 Ni 2.47-2.50
Ni 0.5798 0.5798 0.0826  7 Ni 2.47-2.58
Ni 0.3324 0.3324 0.3324  6 Ni 2.47-2.50
Ni 0.4202 0.4202 0.9174  7 Ni 2.47-2.58
Pr 0.1388 0.1388 0.1388  12 Ni 2.91-3.19, 3 Pr 3.23
Pr 0.0000 0.0000 0.0000  18 Ni 2.92-3.23

Calculated values
SG ... R-3m, No. 166
Formation enthalpy at 0 K ... -0.29 eV per atom
Calculated total energy ... -0.21380 hartree per atom

=====

Record 3
Here is a relaxed TlPdF3 crystal from Materials Project. Energies are from GGA-PBE.

Cell: 4.3513 4.3513 4.3513 Å, 90.00 90.00 90.00°
With the nearest neighbours (Å) after each atom.
Sites, in units of the cell vectors:
F 0.5000 0.0000 0.5000  2 Pd 2.18
Pd 0.5000 0.5000 0.5000  6 F 2.18
F 0.0000 0.5000 0.5000  2 Pd 2.18
Tl 0.0000 0.0000 0.0000  12 F 3.08
F 0.5000 0.5000 0.0000  2 Pd 2.18

Calculated values
SG ... Pm-3m, No. 221
Formation enthalpy at 0 K ... -1.69 eV per atom
Calculated total energy ... -0.14974 hartree per atom

=====

Record 4
Here is a relaxed HoFeSi crystal from Materials Project. Energies are from GGA-PBE.

Cell: 4.0377 4.0377 6.3996 Å, 90.00 90.00 90.00°
With the nearest neighbours (Å) after each atom.
Sites, in units of the cell vectors:
Fe 0.0000 0.0000 0.0000  4 Si 2.33
Fe 0.5000 0.5000 0.0000  4 Si 2.33
Ho 0.5000 0.0000 0.6837  4 Fe 2.86, 5 Si 2.98-3.19
Si 0.5000 0.0000 0.1821  4 Fe 2.33
Ho 0.0000 0.5000 0.3163  4 Fe 2.86, 5 Si 2.98-3.19
Si 0.0000 0.5000 0.8179  4 Fe 2.33

Calculated values
SG ... P4/nmm, No. 129
Formation enthalpy at 0 K ... -0.62 eV per atom
Calculated total energy ... -0.24999 hartree per atom

=====

Record 5
Here is a relaxed Y20Cu6Pb9Se42 crystal from Materials Project. Energies are from GGA-PBE.

Cell: 9.2163 15.0781 16.3840 Å, 102.48 104.67 101.98°
With the nearest neighbours (Å) after each atom.
Sites, in units of the cell vectors:
Se 0.2675 0.4867 0.7715  2 Y 2.82, 2 Pb 2.95
Y 0.1264 0.5526 0.6313  6 Se 2.82-2.92
Se 0.3959 0.8448 0.5615  2 Cu 2.50-2.51
Se 0.6819 0.7048 0.8445  3 Y 2.84-2.86
Y 0.2950 0.3891 0.4653  6 Se 2.84-2.91
Se 0.6275 0.1543 0.4387  3 Y 2.84-2.92, 1 Pb 2.95
Se 0.5069 0.8687 0.0164  3 Y 2.86-2.92
Se 0.9573 0.7908 0.3411  1 Cu 2.42
Se 0.1425 0.4555 0.3210  1 Cu 2.45
Se 0.4783 0.1218 0.9895  1 Cu 2.46
Se 0.6439 0.9551 0.8235  1 Cu 2.46
Y 0.6650 0.8359 0.3296  6 Se 2.80-2.94
Se 0.1915 0.0412 0.4890  3 Y 2.85-3.00, 1 Pb 2.93
Y 0.1571 0.3294 0.8280  6 Se 2.82-2.92
Se 0.7823 0.9952 0.2794  3 Y 2.76-2.80
Y 0.3260 0.1636 0.6637  6 Se 2.83-2.90
Pb 0.5689 0.3732 0.0435  5 Se 2.90-3.11
Se 0.9532 0.8230 0.1070  3 Y 2.77-2.79
Se 0.0114 0.3630 0.5084  3 Y 2.85-2.92
Se 0.1249 0.6282 0.1736  1 Cu 2.50
Y 0.3642 0.9354 0.8715  6 Se 2.85-2.92
Y 0.6336 0.0533 0.1382  6 Se 2.79-3.00
Y 0.5304 0.7696 0.7032  6 Se 2.86-2.91
Se 0.8490 0.5385 0.6795  3 Y 2.84-2.87
Y 0.2547 0.8123 0.1197  4 Se 2.77-3.06
Y 0.8265 0.6712 0.1628  6 Se 2.79-2.93
Se 0.2892 0.4562 0.0067  1 Cu 2.47
Y 0.7977 0.8858 0.9724  6 Se 2.77-3.00
Se 0.0752 0.9132 0.9154  4 Y 2.88-2.92
Se 0.3452 0.0289 0.1761  4 Y 2.85-3.06
Se 0.9056 0.0812 0.0782  4 Y 2.89-2.90
Se 0.8989 0.3435 0.0651  2 Cu 2.50
Se 0.4355 0.3203 0.6049  2 Y 2.83-2.84, 2 Pb 2.94
Se 0.5639 0.6768 0.3976  2 Cu 2.49-2.51
Y 0.9642 0.7216 0.8017  6 Se 2.84-2.96
Cu 0.8052 0.6520 0.3631  4 Se 2.42-2.52
Se 0.1734 0.2024 0.3500  4 Y 2.84-3.06
Pb 0.4038 0.5419 0.2108  5 Se 2.93-3.12
Se 0.5247 0.7076 0.1562  2 Y 2.87-2.93, 1 Pb 2.93
Se 0.7297 0.5110 0.2303  2 Cu 2.50-2.52
Y 0.4540 0.2135 0.3010  6 Se 2.84-2.94
Pb 0.7480 0.3026 0.6083  3 Se 2.94-3.21
Y 0.4810 0.9990 0.4888  6 Se 2.84-2.95
Pb 0.5811 0.4686 0.7740  3 Se 2.94-3.22
Se 0.5755 0.4095 0.4150  4 Y 2.88-2.94
Y 0.6968 0.6017 0.5359  6 Se 2.85-2.94
Pb 0.7355 0.2056 0.8774  5 Se 2.92-3.16
Y 0.0279 0.2658 0.2043  6 Se 2.86-2.91
Pb 0.9001 0.0387 0.7084  5 Se 2.95-3.11
Pb 0.4160 0.6353 0.9407  4 Se 2.94-3.28
Cu 0.9678 0.4840 0.1950  4 Se 2.45-2.50
Se 0.7881 0.9622 0.5064  1 Cu 2.49
Se 0.4558 0.2907 0.8408  1 Cu 2.47
Cu 0.1360 0.3143 0.0298  4 Se 2.47-2.51
Cu 0.6354 0.8167 0.5277  4 Se 2.46-2.50
Pb 0.2317 0.7069 0.3738  5 Se 2.93-3.13
Cu 0.4675 0.9814 0.6961  4 Se 2.46-2.51
Y 0.8606 0.4338 0.3685  6 Se 2.86-2.90
Se 0.3096 0.2856 0.1579  1 Cu 2.48
Y 0.9346 0.1317 0.4383  4 Se 2.76-3.06
Se 0.7388 0.2456 0.2489  4 Y 2.88-2.94
Se 0.1161 0.6663 0.9512  3 Y 2.86-2.92, 1 Pb 2.94
Se 0.7013 0.5365 0.9923  2 Y 2.84-2.86, 1 Pb 2.90
Se 0.2285 0.0074 0.7310  2 Cu 2.49-2.50
Se 0.8674 0.3694 0.8247  2 Y 2.85, 1 Pb 2.92
Se 0.4101 0.5795 0.5829  4 Y 2.90-2.91
Se 0.8108 0.7892 0.6549  1 Cu 2.46
Y 0.1973 0.0997 0.0376  6 Se 2.86-2.90
Se 0.0631 0.1747 0.8970  2 Cu 2.51
Se 0.9767 0.6193 0.4888  1 Cu 2.47
Se 0.6199 0.1221 0.6705  1 Cu 2.47
Pb 0.0644 0.8734 0.5390  5 Se 2.93-3.14
Y 0.9929 0.4998 0.9961  6 Se 2.84-2.91
Cu 0.3022 0.1473 0.8616  4 Se 2.46-2.51
Se 0.0305 0.2008 0.6505  2 Y 2.86-2.91, 1 Pb 2.95
Se 0.2442 0.7449 0.7494  4 Y 2.90-2.92
Se 0.3655 0.8680 0.3167  3 Y 2.86-3.00, 1 Pb 2.93

Calculated values
SG ... P1, No. 1
Formation enthalpy at 0 K ... -1.61 eV per atom
Calculated total energy ... -0.20912 hartree per atom

=====

Q: What is the formation enthalpy at 0 K in the first record?
A: -1.31 eV per atom